{
  "formula": "BiTeO5",
  "functional": "GGA-PBE",
  "state": "relaxed",
  "corrected_energy_ha_per_atom": -0.2090,
  "space_group": "P2_1/c",
  "formation_energy_ev_per_atom": -1.148,
  "total_magnetization_mub_per_cell": 0.00,
  "lattice": [[11.265, 0.000, 0.000], [0.000, 5.864, 0.000], [0.000, 2.675, 8.593]],
  "species": ["Bi", "Bi", "Bi", "Bi", "Te", "Te", "Te", "Te", "O", "O", "O", "O", "O", "O", "O", "O", "O", "O", "O", "O", "O", "O", "O", "O", "O", "O", "O", "O"],
  "frac_coords": [[0.916, 0.991, 0.855], [0.084, 0.009, 0.145], [0.584, 0.991, 0.355], [0.416, 0.009, 0.645], [0.355, 0.159, 0.053], [0.645, 0.841, 0.947], [0.855, 0.841, 0.447], [0.145, 0.159, 0.553], [0.921, 0.836, 0.637], [0.032, 0.266, 0.667], [0.786, 0.131, 0.334], [0.439, 0.804, 0.487], [0.713, 0.670, 0.473], [0.787, 0.670, 0.973], [0.468, 0.266, 0.167], [0.532, 0.734, 0.833], [0.561, 0.196, 0.513], [0.421, 0.164, 0.863], [0.287, 0.330, 0.527], [0.079, 0.164, 0.363], [0.579, 0.836, 0.137], [0.213, 0.330, 0.027], [0.939, 0.196, 0.013], [0.061, 0.804, 0.987], [0.214, 0.869, 0.666], [0.968, 0.734, 0.333], [0.286, 0.869, 0.166], [0.714, 0.131, 0.834]]
}